[1]
# TeC12Br2F10 PBE optimized geometry
data_TeC12Br2F10
_chemical_formula_sum 'Te4 C48 Br8 F40'
_cell_length_a 6.9751
_cell_length_b 15.9016
_cell_length_c 14.3224
_cell_angle_alpha 90.00
_cell_angle_beta 90.16
_cell_angle_gamma 90.00
_symmetry_space_group_name_H-M 'P 1'
_symmetry_Int_Tables_number 1
loop_
_symmetry_equiv_pos_as_xyz
'x,y,z'
loop_
_atom_site_label
_atom_site_type_symbol
_atom_site_fract_x
_atom_site_fract_y
_atom_site_fract_z
Te1 Te 0.2156 0.0578 0.0795
Te2 Te 0.2156 0.4422 0.5795
Te3 Te 0.7844 0.5578 0.4205
Te4 Te 0.7844 0.9422 0.9205
C1 C 0.0184 0.5362 0.7343
C2 C 0.0184 0.9638 0.2343
C3 C 0.0467 0.5914 0.1372
C4 C 0.0467 0.9086 0.6372
C5 C 0.0522 0.1082 0.2802
C6 C 0.0522 0.3918 0.7802
C7 C 0.0823 0.0542 0.6841
C8 C 0.0823 0.4458 0.1841
C9 C 0.0893 0.0441 0.2159
C10 C 0.0893 0.4559 0.7159
C11 C 0.1139 0.5099 0.1196
C12 C 0.1139 0.9901 0.6196
C13 C 0.3765 0.1707 0.1006
C14 C 0.3765 0.3293 0.6006
C15 C 0.3825 0.2276 0.0260
C16 C 0.3825 0.2724 0.5260
C17 C 0.4165 0.6789 0.8845
C18 C 0.4169 0.7360 0.8103
C19 C 0.4169 0.7640 0.3103
C20 C 0.4165 0.8211 0.3845
C21 C 0.4798 0.1894 0.1818
C22 C 0.4798 0.3106 0.6818
C23 C 0.4836 0.1970 0.5331
C24 C 0.4836 0.3030 0.0331
C25 C 0.5164 0.6970 0.9669
C26 C 0.5164 0.8030 0.4669
C27 C 0.5202 0.6894 0.3182
C28 C 0.5202 0.8106 0.8182
C29 C 0.5835 0.1789 0.6155
C30 C 0.5831 0.2360 0.6897
C31 C 0.5831 0.2640 0.1897
C32 C 0.5835 0.3211 0.1155
C33 C 0.6175 0.7276 0.4740
C34 C 0.6175 0.7724 0.9740
C35 C 0.6235 0.6707 0.3994
C36 C 0.6235 0.8293 0.8994
C37 C 0.8861 0.0099 0.3804
C38 C 0.8861 0.4901 0.8804
C39 C 0.9107 0.5441 0.2841
C40 C 0.9107 0.9559 0.7841
C41 C 0.9177 0.5542 0.8159
C42 C 0.9177 0.9458 0.3159
C43 C 0.9478 0.6082 0.2198
C44 C 0.9478 0.8918 0.7198
C45 C 0.9533 0.0914 0.3628
C46 C 0.9533 0.4086 0.8628
C47 C 0.9816 0.0362 0.7657
C48 C 0.9816 0.4638 0.2657
Br1 Br 0.0991 0.6506 0.4558
Br2 Br 0.0991 0.8494 0.9558
Br3 Br 0.4805 0.0346 0.8646
Br4 Br 0.4805 0.4654 0.3646
Br5 Br 0.5195 0.5346 0.6354
Br6 Br 0.5195 0.9654 0.1354
Br7 Br 0.9009 0.1506 0.0442
Br8 Br 0.9009 0.3494 0.5442
F1 F 0.0426 0.5984 0.6711
F2 F 0.0426 0.9016 0.1711
F3 F 0.0767 0.6528 0.0744
F4 F 0.0767 0.8472 0.5744
F5 F 0.1064 0.1883 0.2643
F6 F 0.1064 0.3117 0.7643
F7 F 0.1473 0.1324 0.6676
F8 F 0.1473 0.3676 0.1676
F9 F 0.2084 0.0070 0.5401
F10 F 0.2084 0.4930 0.0401
F11 F 0.2905 0.2108 0.9452
F12 F 0.2905 0.2892 0.4452
F13 F 0.3158 0.7195 0.7324
F14 F 0.3158 0.7805 0.2324
F15 F 0.3185 0.6065 0.8772
F16 F 0.3185 0.8935 0.3772
F17 F 0.4832 0.1362 0.2551
F18 F 0.4832 0.3638 0.7551
F19 F 0.4848 0.1423 0.4617
F20 F 0.4848 0.3577 0.9617
F21 F 0.5152 0.6423 0.0383
F22 F 0.5152 0.8577 0.5383
F23 F 0.5168 0.6362 0.2449
F24 F 0.5168 0.8638 0.7449
F25 F 0.6815 0.1065 0.6228
F26 F 0.6815 0.3935 0.1228
F27 F 0.6842 0.2195 0.7676
F28 F 0.6842 0.2805 0.2676
F29 F 0.7095 0.7108 0.5548
F30 F 0.7095 0.7892 0.0548
F31 F 0.7916 0.5070 0.9599
F32 F 0.7916 0.9930 0.4599
F33 F 0.8527 0.6324 0.8324
F34 F 0.8527 0.8676 0.3324
F35 F 0.8936 0.6883 0.2357
F36 F 0.8936 0.8117 0.7357
F37 F 0.9233 0.1528 0.4256
F38 F 0.9233 0.3472 0.9256
F39 F 0.9574 0.0984 0.8289
F40 F 0.9574 0.4016 0.3289
# total moment = 0.001 μB/f.u.
# space group = P2_1/c, No. 14
# E_tot = -6.082 eV per atom

---

[2]
# Na3SnPCO7 PBE optimized geometry
data_Na3SnPCO7
_chemical_formula_sum 'Na6 Sn2 P2 C2 O14'
_cell_length_a 5.4332
_cell_length_b 7.0512
_cell_length_c 9.3979
_cell_angle_alpha 90.00
_cell_angle_beta 92.93
_cell_angle_gamma 90.00
_symmetry_space_group_name_H-M 'P 1'
_symmetry_Int_Tables_number 1
loop_
_symmetry_equiv_pos_as_xyz
'x,y,z'
loop_
_atom_site_label
_atom_site_type_symbol
_atom_site_fract_x
_atom_site_fract_y
_atom_site_fract_z
Na1 Na 0.0032 0.0000 0.1714
Na2 Na 0.0238 0.7195 0.4893
Na3 Na 0.4925 0.7217 0.0158
Na4 Na 0.5075 0.2217 0.9842
Na5 Na 0.9762 0.2195 0.5107
Na6 Na 0.9968 0.5000 0.8286
Sn1 Sn 0.4470 0.4457 0.3160
Sn2 Sn 0.5530 0.9457 0.6840
P1 P 0.4974 0.9585 0.3265
P2 P 0.5026 0.4585 0.6735
C1 C 0.9997 0.4569 0.1431
C2 C 0.0003 0.9569 0.8569
O1 O 0.0106 0.4645 0.2830
O2 O 0.2042 0.9731 0.9314
O3 O 0.2075 0.4321 0.0807
O4 O 0.2620 0.0362 0.3928
O5 O 0.2854 0.4446 0.5583
O6 O 0.4197 0.5826 0.7972
O7 O 0.4279 0.7564 0.2632
O8 O 0.5721 0.2564 0.7368
O9 O 0.5803 0.0826 0.2028
O10 O 0.7146 0.9446 0.4417
O11 O 0.7380 0.5362 0.6072
O12 O 0.7925 0.9321 0.9193
O13 O 0.7958 0.4731 0.0686
O14 O 0.9894 0.9645 0.7170
# total moment = 0.001 μB/f.u.
# space group = P2_1, No. 4
# largest piezoelectric modulus = 1.435 C/m²
# energy above the lowest structure with this stoichiometry = 0.003 eV/atom
# E_tot = -6.264 eV per atom

---

[3]
# Na2NbAlSi2SO12 PBE optimized geometry
data_Na2NbAlSi2SO12
_chemical_formula_sum 'Na12 Nb6 Al6 Si12 S6 O72'
_cell_length_a 8.8402
_cell_length_b 8.8402
_cell_length_c 22.3166
_cell_angle_alpha 88.39
_cell_angle_beta 91.61
_cell_angle_gamma 119.75
_symmetry_space_group_name_H-M 'P 1'
_symmetry_Int_Tables_number 1
loop_
_symmetry_equiv_pos_as_xyz
'x,y,z'
loop_
_atom_site_label
_atom_site_type_symbol
_atom_site_fract_x
_atom_site_fract_y
_atom_site_fract_z
Si1 Si 0.7235 0.0157 0.7518
O1 O 0.4904 0.1464 0.9245
O2 O 0.0233 0.8198 0.6964
S1 S 0.9886 0.7058 0.7517
O3 O 0.4811 0.6348 0.5753
Na1 Na 0.3757 0.0115 0.7500
O4 O 0.8022 0.8244 0.9099
S2 S 0.2942 0.0114 0.2517
Si2 Si 0.7084 0.7072 0.2523
O5 O 0.1336 0.6423 0.3566
Si3 Si 0.0568 0.6824 0.4184
O6 O 0.1639 0.4564 0.9780
O7 O 0.4976 0.8545 0.3604
O8 O 0.6924 0.5177 0.2440
Al1 Al 0.6828 0.3644 0.1875
O9 O 0.1802 0.9767 0.1964
O10 O 0.3097 0.4855 0.7559
O11 O 0.5202 0.8429 0.7578
Na2 Na 0.6551 0.9576 0.5833
O12 O 0.0243 0.1997 0.1900
Na3 Na 0.3479 0.6613 0.1609
Na4 Na 0.0424 0.3449 0.0833
O13 O 0.1869 0.1762 0.0912
O14 O 0.4688 0.1578 0.2432
O15 O 0.5136 0.6433 0.8631
O16 O 0.5451 0.6948 0.9713
O17 O 0.9719 0.7882 0.8047
O18 O 0.6985 0.1856 0.7420
Na5 Na 0.0145 0.9947 0.4943
Al2 Al 0.3023 0.6506 0.0209
S3 S 0.9609 0.3448 0.5851
Si4 Si 0.9595 0.6249 0.0856
S4 S 0.6275 0.6781 0.9184
O19 O 0.5436 0.8361 0.4780
Si5 Si 0.3176 0.9432 0.9184
O20 O 0.3567 0.4864 0.3631
O21 O 0.8238 0.8131 0.5912
O22 O 0.4788 0.1691 0.5271
O23 O 0.6900 0.1531 0.0297
Nb1 Nb 0.3302 0.6673 0.3113
O24 O 0.1355 0.4911 0.5765
O25 O 0.8478 0.3569 0.9226
Na6 Na 0.6812 0.3280 0.8276
O26 O 0.8122 0.8357 0.1938
O27 O 0.4912 0.3652 0.4205
O28 O 0.1490 0.6410 0.0773
O29 O 0.6910 0.5331 0.5233
S5 S 0.3219 0.3725 0.4184
Si6 Si 0.6510 0.6099 0.5851
O30 O 0.6437 0.4909 0.6417
Na7 Na 0.3218 0.2909 0.9166
O31 O 0.8422 0.5312 0.7432
O32 O 0.9764 0.8188 0.0892
O33 O 0.3577 0.8664 0.8566
O34 O 0.1455 0.5024 0.8604
O35 O 0.3590 0.8510 0.5773
O36 O 0.5091 0.3563 0.1417
O37 O 0.8144 0.3015 0.2420
O38 O 0.8309 0.5212 0.0271
Al3 Al 0.3494 0.6977 0.5209
O39 O 0.8003 0.9757 0.6900
O40 O 0.8306 0.7898 0.3113
O41 O 0.5089 0.8645 0.0765
O42 O 0.4973 0.1231 0.6446
Na8 Na 0.9885 0.6243 0.2500
O43 O 0.4823 0.3076 0.7440
O44 O 0.3015 0.8422 0.2539
O45 O 0.6385 0.1215 0.1380
O46 O 0.2102 0.1694 0.8113
O47 O 0.1756 0.1978 0.4099
Nb2 Nb 0.9993 0.0031 0.1446
O48 O 0.3652 0.5189 0.0753
Si7 Si 0.3751 0.0405 0.5856
Na9 Na 0.0053 0.9855 0.9943
O49 O 0.6431 0.1522 0.4226
O50 O 0.1758 0.6896 0.4750
O51 O 0.0257 0.1843 0.9107
O52 O 0.3104 0.8242 0.9750
O53 O 0.1571 0.4798 0.2578
Nb3 Nb 0.9969 0.0007 0.6446
Nb4 Nb 0.6660 0.3365 0.4780
O54 O 0.5145 0.6903 0.2559
O55 O 0.9681 0.1755 0.5872
O56 O 0.8469 0.3100 0.5297
Al4 Al 0.6356 0.3172 0.6875
O57 O 0.6348 0.5088 0.9205
S6 S 0.6552 0.0391 0.0851
O58 O 0.2118 0.0281 0.3047
Si8 Si 0.3901 0.3490 0.0851
Si9 Si 0.6261 0.9582 0.4189
O59 O 0.3052 0.4549 0.4713
Nb5 Nb 0.6635 0.3340 0.9780
O60 O 0.8785 0.3615 0.6380
O61 O 0.8769 0.5027 0.1446
O62 O 0.0319 0.8522 0.4086
O63 O 0.8157 0.9743 0.4107
Na10 Na 0.7091 0.6782 0.4166
O64 O 0.1812 0.0236 0.5892
Si10 Si 0.9843 0.2765 0.2518
O65 O 0.1578 0.6985 0.7539
O66 O 0.1643 0.1878 0.6938
Si11 Si 0.2928 0.2916 0.7523
Al5 Al 0.0161 0.0311 0.8542
O67 O 0.8245 0.0319 0.0872
Nb6 Nb 0.3327 0.6698 0.8113
Na11 Na 0.6720 0.3188 0.3276
Na12 Na 0.3387 0.6521 0.6609
O68 O 0.8425 0.0230 0.8083
O69 O 0.1478 0.9681 0.9086
O70 O 0.9770 0.1575 0.3083
Al6 Al 0.9689 0.9839 0.3542
O71 O 0.8536 0.5096 0.4245
O72 O 0.4669 0.3090 0.0233
Si12 Si 0.0418 0.3739 0.9189
# total moment = 0.000 μB/f.u.
# E_tot = -7.092 eV per atom

---

[4]
# ZnNi2S5 PBE optimized geometry
data_ZnNi2S5
_chemical_formula_sum 'Zn2 Ni4 S10'
_cell_length_a 3.5671
_cell_length_b 13.3301
_cell_length_c 6.4042
_cell_angle_alpha 90.00
_cell_angle_beta 90.00
_cell_angle_gamma 90.00
_symmetry_space_group_name_H-M 'P 1'
_symmetry_Int_Tables_number 1
loop_
_symmetry_equiv_pos_as_xyz
'x,y,z'
loop_
_atom_site_label
_atom_site_type_symbol
_atom_site_fract_x
_atom_site_fract_y
_atom_site_fract_z
Zn1 Zn 0.2500 0.2500 0.1074
Zn2 Zn 0.7500 0.7500 0.8926
Ni1 Ni 0.2500 0.6049 0.4661
Ni2 Ni 0.2500 0.8951 0.4661
Ni3 Ni 0.7500 0.1049 0.5339
Ni4 Ni 0.7500 0.3951 0.5339
S1 S 0.2500 0.0529 0.3574
S2 S 0.2500 0.4471 0.3574
S3 S 0.2500 0.6698 0.1461
S4 S 0.2500 0.7500 0.6391
S5 S 0.2500 0.8302 0.1461
S6 S 0.7500 0.1698 0.8539
S7 S 0.7500 0.2500 0.3609
S8 S 0.7500 0.3302 0.8539
S9 S 0.7500 0.5529 0.6426
S10 S 0.7500 0.9471 0.6426
# total moment = 0.001 μB/f.u.
# space group = Pmmn, No. 59
# E_tot = -4.417 eV per atom

---

[5]
# Cs2TaAgF6 PBE optimized geometry
data_Cs2TaAgF6
_chemical_formula_sum 'Cs2 Ta1 Ag1 F6'
_cell_length_a 7.4365
_cell_length_b 7.4365
_cell_length_c 7.4365
_cell_angle_alpha 60.00
_cell_angle_beta 60.00
_cell_angle_gamma 60.00
_symmetry_space_group_name_H-M 'P 1'
_symmetry_Int_Tables_number 1
loop_
_symmetry_equiv_pos_as_xyz
'x,y,z'
loop_
_atom_site_label
_atom_site_type_symbol
_atom_site_fract_x
_atom_site_fract_y
_atom_site_fract_z
Cs1 Cs 0.2500 0.2500 0.2500
Cs2 Cs 0.7500 0.7500 0.7500
Ta1 Ta 0.0000 0.0000 0.0000
Ag1 Ag 0.5000 0.5000 0.5000
F1 F 0.1832 0.1832 0.8168
F2 F 0.1832 0.8168 0.1832
F3 F 0.1832 0.8168 0.8168
F4 F 0.8168 0.1832 0.1832
F5 F 0.8168 0.1832 0.8168
F6 F 0.8168 0.8168 0.1832
# total moment = 0.000 μB/f.u.
# space group = Fm-3m, No. 225
# E_tot = -5.268 eV per atom

---

[6]
# Li3B2SbO6 PBE optimized geometry
data_Li3B2SbO6
_chemical_formula_sum 'Li12 B8 Sb4 O24'
_cell_length_a 8.8832
_cell_length_b 6.4920
_cell_length_c 10.2064
_cell_angle_alpha 90.00
_cell_angle_beta 117.13
_cell_angle_gamma 90.00
_symmetry_space_group_name_H-M 'P 1'
_symmetry_Int_Tables_number 1
loop_
_symmetry_equiv_pos_as_xyz
'x,y,z'
loop_
_atom_site_label
_atom_site_type_symbol
_atom_site_fract_x
_atom_site_fract_y
_atom_site_fract_z
Li1 Li 0.1078 0.2441 0.4794
Li2 Li 0.1078 0.2559 0.9794
Li3 Li 0.2105 0.5624 0.1698
Li4 Li 0.2105 0.9376 0.6698
Li5 Li 0.3436 0.7198 0.5465
Li6 Li 0.3436 0.7802 0.0465
Li7 Li 0.6564 0.2198 0.9535
Li8 Li 0.6564 0.2802 0.4535
Li9 Li 0.7895 0.0624 0.3302
Li10 Li 0.7895 0.4376 0.8302
Li11 Li 0.8922 0.7441 0.0206
Li12 Li 0.8922 0.7559 0.5206
B1 B 0.0394 0.6637 0.8228
B2 B 0.0394 0.8363 0.3228
B3 B 0.4494 0.1693 0.1106
B4 B 0.4494 0.3307 0.6106
B5 B 0.5506 0.6693 0.3894
B6 B 0.5506 0.8307 0.8894
B7 B 0.9606 0.1637 0.6772
B8 B 0.9606 0.3363 0.1772
Sb1 Sb 0.3073 0.0306 0.2981
Sb2 Sb 0.3073 0.4694 0.7981
Sb3 Sb 0.6927 0.5306 0.2019
Sb4 Sb 0.6927 0.9694 0.7019
O1 O 0.0843 0.7055 0.7112
O2 O 0.0843 0.7945 0.2112
O3 O 0.1171 0.2128 0.6850
O4 O 0.1171 0.2872 0.1850
O5 O 0.1591 0.5601 0.9466
O6 O 0.1591 0.9399 0.4466
O7 O 0.2949 0.0678 0.0634
O8 O 0.2949 0.4322 0.5634
O9 O 0.4381 0.6699 0.2410
O10 O 0.4381 0.8301 0.7410
O11 O 0.4902 0.2242 0.5143
O12 O 0.4902 0.2758 0.0143
O13 O 0.5098 0.7242 0.9857
O14 O 0.5098 0.7758 0.4857
O15 O 0.5619 0.1699 0.2590
O16 O 0.5619 0.3301 0.7590
O17 O 0.7051 0.5678 0.4366
O18 O 0.7051 0.9322 0.9366
O19 O 0.8409 0.0601 0.5534
O20 O 0.8409 0.4399 0.0534
O21 O 0.8829 0.7128 0.8150
O22 O 0.8829 0.7872 0.3150
O23 O 0.9157 0.2055 0.7888
O24 O 0.9157 0.2945 0.2888
# total moment = 0.000 μB/f.u.
# space group = P2_1/c, No. 14
# energy above the lowest structure with this stoichiometry = 0.026 eV/atom
# E_tot = -6.481 eV per atom

---

[7]
# SmAgAs2 PBE optimized geometry
data_SmAgAs2
_chemical_formula_sum 'Sm4 Ag4 As8'
_cell_length_a 21.2172
_cell_length_b 4.0322
_cell_length_c 4.0600
_cell_angle_alpha 90.00
_cell_angle_beta 90.00
_cell_angle_gamma 90.00
_symmetry_space_group_name_H-M 'P 1'
_symmetry_Int_Tables_number 1
loop_
_symmetry_equiv_pos_as_xyz
'x,y,z'
loop_
_atom_site_label
_atom_site_type_symbol
_atom_site_fract_x
_atom_site_fract_y
_atom_site_fract_z
Sm1 Sm 0.1153 0.2500 0.2298
Sm2 Sm 0.3847 0.7500 0.7298
Sm3 Sm 0.6153 0.2500 0.2702
Sm4 Sm 0.8847 0.7500 0.7702
Ag1 Ag 0.2500 0.2500 0.7278
Ag2 Ag 0.2500 0.7500 0.2278
Ag3 Ag 0.7500 0.2500 0.7722
Ag4 Ag 0.7500 0.7500 0.2722
As1 As 0.0014 0.2500 0.7058
As2 As 0.1586 0.7500 0.7279
As3 As 0.3414 0.2500 0.2279
As4 As 0.4986 0.7500 0.2058
As5 As 0.5014 0.2500 0.7942
As6 As 0.6586 0.7500 0.7721
As7 As 0.8414 0.2500 0.2721
As8 As 0.9986 0.7500 0.2942
# space group = Pnma, No. 62
# E_tot = -4.987 eV per atom

---

[8]
# K2C PBE optimized geometry
data_K2C
_chemical_formula_sum 'K2 C1'
_cell_length_a 5.0871
_cell_length_b 5.0871
_cell_length_c 5.0871
_cell_angle_alpha 60.00
_cell_angle_beta 60.00
_cell_angle_gamma 60.00
_symmetry_space_group_name_H-M 'P 1'
_symmetry_Int_Tables_number 1
loop_
_symmetry_equiv_pos_as_xyz
'x,y,z'
loop_
_atom_site_label
_atom_site_type_symbol
_atom_site_fract_x
_atom_site_fract_y
_atom_site_fract_z
K1 K 0.2500 0.2500 0.2500
K2 K 0.7500 0.7500 0.7500
C1 C 0.0000 0.0000 0.0000
# total moment = 2.000 μB/f.u.
# space group = Fm-3m, No. 225
# E_tot = -2.440 eV per atom

---

| no. | ΔH_f (0 K) (eV/atom) |
| --- | --- |
| 1 | -0.8149 |
| 2 | -2.2300 |
| 3 | -2.7441 |
| 4 | -0.5435 |
| 5 | -2.7481 |
| 6 | -2.4165 |
| 7 | -0.7701 |
| 8 | 1.3765 |